The following is a DFT calculation (PBE) of NaLaZrSnO6 after structural relaxation.

extended XYZ file:
```
10
Lattice="0.0000 4.1168 4.1168 4.1168 0.0000 4.1168 4.1168 4.1168 0.0000" Properties=species:S:1:pos:R:3 pbc="T T T"
Na 0.0000 0.0000 0.0000
La 4.1168 4.1168 4.1168
Zr 6.1751 6.1751 6.1751
Sn 2.0584 2.0584 2.0584
O 2.0584 2.0584 0.0186
O 2.0584 0.0186 2.0584
O 4.0982 2.0584 2.0584
O 0.0186 2.0584 2.0584
O 2.0584 4.0982 2.0584
O 2.0584 2.0584 4.0982
```

- ΔH_f (0 K): -2.93 eV per atom